Entry 1:
A geometry-optimized PtSeS structure. Source: the Materials Project database, functional PBE.

Structure (POSCAR):
```
PtSeS
1.0
3.682 0.000 0.000
-1.841 3.189 0.000
0.000 0.000 5.426
Pt Se S
1 1 1
Direct
0.000 0.000 0.000
0.667 0.333 0.754
0.333 0.667 0.222
```

Calculated values
DFT total energy: -14.75 eV/cell
space-group type: P3m1 (156)
calculated volume: 63.7 Å³ per cell



Entry 2:
A geometry-optimized Ba2SrI6 structure. Source: the Materials Project database, functional PBE.

Structure (POSCAR):
```
Ba2SrI6
1.0
13.225 -4.029 0.000
13.225 4.029 0.000
-1.768 0.000 8.929
Ba Sr I
4 2 12
Direct
0.058 0.611 0.859
0.389 0.942 0.641
0.611 0.058 0.359
0.942 0.389 0.141
0.334 0.666 0.250
0.666 0.334 0.750
0.055 0.124 0.826
0.124 0.055 0.326
0.262 0.286 0.093
0.286 0.262 0.593
0.385 0.460 0.479
0.460 0.385 0.979
0.540 0.615 0.021
0.615 0.540 0.521
0.714 0.738 0.407
0.738 0.714 0.907
0.876 0.945 0.674
0.945 0.876 0.174
```

Calculated values
DFT total energy: -60.47 eV/cell
space-group type: C2/c (15)
calculated volume: 951.6 Å³ per cell
distance to the lowest polymorph of the same formula: 0.22 eV/f.u.



Entry 3:
A geometry-optimized Na6Ti4Si5SO24 structure. Source: the Materials Project database, functional PBE.

Structure (POSCAR):
```
Na6Ti4Si5SO24
1.0
8.935 0.000 0.000
-4.466 7.744 0.000
-0.037 -0.096 22.078
Na Ti Si S O
18 12 15 3 72
Direct
0.000 0.000 0.000
0.000 0.369 0.500
0.034 0.704 0.084
0.036 0.337 0.834
0.041 0.711 0.586
0.072 0.401 0.167
0.336 0.040 0.166
0.363 0.356 0.253
0.373 0.005 0.501
0.374 0.380 0.750
0.374 0.740 0.001
0.405 0.702 0.334
0.688 0.029 0.915
0.701 0.403 0.664
0.702 0.666 0.168
0.708 0.050 0.414
0.736 0.366 0.000
0.736 0.733 0.500
0.023 0.678 0.730
0.043 0.691 0.938
0.045 0.696 0.438
0.053 0.708 0.230
0.357 0.352 0.398
0.364 0.381 0.603
0.370 0.368 0.103
0.386 0.383 0.897
0.699 0.025 0.771
0.704 0.037 0.064
0.706 0.052 0.270
0.717 0.037 0.563
0.035 0.407 0.334
0.082 0.365 0.999
0.085 0.080 0.502
0.329 0.704 0.833
0.329 0.996 0.334
0.369 0.082 0.999
0.374 0.660 0.498
0.420 0.748 0.168
0.655 0.369 0.502
0.662 0.661 0.002
0.703 0.328 0.166
0.706 0.746 0.667
0.739 0.406 0.834
0.990 0.035 0.168
0.996 0.319 0.669
0.036 0.988 0.833
0.412 0.032 0.667
0.749 0.702 0.334
0.007 0.861 0.174
0.008 0.511 0.673
0.012 0.504 0.394
0.016 0.890 0.890
0.052 0.899 0.780
0.056 0.886 0.494
0.061 0.535 0.275
0.063 0.541 0.995
0.166 0.208 0.443
0.169 0.333 0.939
0.182 0.207 0.162
0.187 0.339 0.662
0.189 0.164 0.836
0.195 0.678 0.777
0.195 0.890 0.994
0.198 0.678 0.495
0.205 0.403 0.059
0.210 0.901 0.273
0.215 0.173 0.559
0.218 0.406 0.338
0.225 0.728 0.172
0.228 0.869 0.392
0.237 0.729 0.895
0.239 0.880 0.674
0.332 0.523 0.838
0.332 0.530 0.556
0.335 0.168 0.061
0.348 0.187 0.339
0.394 0.555 0.162
0.404 0.193 0.665
0.404 0.214 0.944
0.411 0.576 0.438
0.490 0.009 0.611
0.505 0.872 0.108
0.513 0.998 0.330
0.520 0.876 0.826
0.523 0.333 0.445
0.527 0.058 0.720
0.529 0.344 0.162
0.531 0.569 0.944
0.537 0.550 0.662
0.539 0.835 0.228
0.540 0.061 0.005
0.540 0.854 0.507
0.550 0.390 0.839
0.572 0.406 0.562
0.574 0.536 0.061
0.575 0.546 0.336
0.664 0.198 0.224
0.676 0.197 0.507
0.677 0.850 0.006
0.679 0.847 0.724
0.726 0.864 0.607
0.730 0.857 0.332
0.735 0.222 0.829
0.741 0.240 0.107
0.832 0.525 0.773
0.834 0.685 0.278
0.848 0.541 0.494
0.851 0.719 0.389
0.853 0.681 0.994
0.863 0.218 0.329
0.870 0.001 0.107
0.870 0.233 0.608
0.870 0.508 0.892
0.874 0.519 0.174
0.879 0.009 0.830
0.879 0.728 0.673
0.888 0.196 0.005
0.892 0.062 0.507
0.893 0.070 0.224
0.895 0.205 0.728
```

Calculated values
DFT total energy: -872.75 eV/cell
space-group type: P1 (1)
calculated volume: 1527.8 Å³ per cell



Entry 4:
A geometry-optimized Mn3CuN structure. Source: the Materials Project database, functional PBE.

Structure (POSCAR):
```
Mn3CuN
1.0
3.829 0.000 0.000
0.000 3.829 0.000
0.000 0.000 3.829
Mn Cu N
3 1 1
Direct
0.000 0.000 0.500
0.000 0.500 0.000
0.500 0.000 0.000
0.500 0.500 0.500
0.000 0.000 0.000
```

Calculated values
DFT total energy: -40.44 eV/cell
space-group type: Pm-3m (221)
calculated volume: 56.1 Å³ per cell



Entry 5:
A geometry-optimized NaNbSe2 structure. Source: the Materials Project database, functional PBE.

Structure (POSCAR):
```
NaNbSe2
1.0
3.583 0.000 0.000
-1.792 3.103 0.000
0.000 0.000 15.033
Na Nb Se
2 2 4
Direct
0.000 0.000 0.000
0.000 0.000 0.500
0.000 0.000 0.250
0.000 0.000 0.750
0.333 0.667 0.140
0.333 0.667 0.360
0.667 0.333 0.640
0.667 0.333 0.860
```

Calculated values
DFT total energy: -44.85 eV/cell
space-group type: P6_3/mmc (194)
calculated volume: 167.1 Å³ per cell



Entry 6:
A geometry-optimized KMg6Si structure. Source: the Materials Project database, functional PBE.

Structure (POSCAR):
```
KMg6Si
1.0
-3.316 -2.137 -2.438
-1.881 -3.013 5.201
-8.964 10.602 2.899
K Mg Si
2 12 2
Direct
0.000 0.500 0.288
0.000 0.000 0.788
0.000 0.247 0.077
0.000 0.753 0.077
0.000 0.000 0.360
0.500 0.748 0.446
0.500 0.252 0.446
0.500 0.000 0.193
0.000 0.747 0.577
0.000 0.253 0.577
0.000 0.500 0.860
0.500 0.248 0.946
0.500 0.752 0.946
0.500 0.500 0.693
0.500 0.500 0.113
0.500 0.000 0.613
```

Calculated values
DFT total energy: -29.69 eV/cell
calculated volume: 414.3 Å³ per cell
distance to the lowest polymorph of the same formula: 0.00 eV/f.u.



Entry 7:
A geometry-optimized Cs2TlAuBr6 structure. Source: the Materials Project database, functional PBE.

Structure (POSCAR):
```
Cs2TlAuBr6
1.0
0.000 5.672 5.672
5.672 0.000 5.672
5.672 5.672 0.000
Cs Tl Au Br
2 1 1 6
Direct
0.250 0.250 0.250
0.750 0.750 0.750
0.000 0.000 0.000
0.500 0.500 0.500
0.258 0.258 0.742
0.258 0.742 0.258
0.258 0.742 0.742
0.742 0.258 0.258
0.742 0.258 0.742
0.742 0.742 0.258
```

Calculated values
DFT total energy: -27.03 eV/cell
space-group type: Fm-3m (225)
calculated volume: 365.0 Å³ per cell



Entry 8:
A geometry-optimized Ag2Br3 structure. Source: the Materials Project database, functional PBE.

Structure (POSCAR):
```
Ag2Br3
1.0
3.513 2.028 6.415
-3.513 2.028 6.415
0.000 -4.056 6.415
Ag Br
4 6
Direct
0.160 0.160 0.160
0.340 0.340 0.340
0.660 0.660 0.660
0.840 0.840 0.840
0.072 0.750 0.428
0.250 0.572 0.928
0.428 0.072 0.750
0.572 0.928 0.250
0.750 0.428 0.072
0.928 0.250 0.572
```

Calculated values
DFT total energy: -23.88 eV/cell
space-group type: R-3c (167)
calculated volume: 274.2 Å³ per cell



Look up the calculated volume of the first one.
63.7 Å³ per cell